K14In4O13 | the Materials Project database | GGA-PBE | relaxed; energy of formation from the pure elements = -1661 meV/atom
1.0
31.864 0.000 0.000
0.000 6.926 0.000
0.000 3.384 6.047
K O In
28 26 8
direct
0.999 0.730 0.040 K
0.553 0.842 0.000 K
0.225 0.279 0.941 K
0.947 0.842 0.500 K
0.158 0.867 0.495 K
0.887 0.717 0.040 K
0.275 0.279 0.441 K
0.387 0.283 0.460 K
0.842 0.133 0.505 K
0.611 0.252 0.460 K
0.658 0.133 0.005 K
0.447 0.158 0.000 K
0.782 0.288 0.946 K
0.718 0.288 0.446 K
0.342 0.867 0.995 K
0.613 0.717 0.540 K
0.282 0.712 0.554 K
0.389 0.748 0.540 K
0.501 0.730 0.540 K
0.113 0.283 0.960 K
0.111 0.748 0.040 K
0.499 0.270 0.460 K
0.725 0.721 0.559 K
0.001 0.270 0.960 K
0.775 0.721 0.059 K
0.053 0.158 0.500 K
0.218 0.712 0.054 K
0.889 0.252 0.960 K
0.330 0.043 0.293 O
0.443 0.680 0.293 O
0.710 0.432 0.002 O
0.442 0.970 0.711 O
0.396 0.465 0.997 O
0.896 0.535 0.503 O
0.830 0.957 0.207 O
0.058 0.970 0.211 O
0.290 0.568 0.998 O
0.943 0.320 0.207 O
0.170 0.043 0.793 O
0.172 0.321 0.213 O
0.057 0.680 0.793 O
0.790 0.432 0.502 O
0.672 0.679 0.287 O
0.000 0.500 0.500 O
0.328 0.321 0.713 O
0.604 0.535 0.003 O
0.558 0.030 0.289 O
0.104 0.465 0.497 O
0.670 0.957 0.707 O
0.942 0.030 0.789 O
0.210 0.568 0.498 O
0.828 0.679 0.787 O
0.500 0.500 0.000 O
0.557 0.320 0.707 O
0.166 0.343 0.501 In
0.445 0.671 0.001 In
0.945 0.329 0.499 In
0.055 0.671 0.501 In
0.834 0.657 0.499 In
0.666 0.657 0.999 In
0.555 0.329 0.999 In
0.334 0.343 0.001 In


Na8MgTi2O8 | the Materials Project database | GGA-PBE | relaxed; energy of formation from the pure elements = -2181 meV/atom; energy relative to the lowest polymorph listed for this composition = 1 meV/atom
1.0
4.697 5.590 -0.582
-4.697 5.590 -0.582
0.000 -0.795 6.115
O Mg Na Ti
8 1 8 2
direct
0.827 0.827 0.029 O
0.868 0.868 0.583 O
0.494 0.788 0.611 O
0.506 0.212 0.389 O
0.788 0.494 0.611 O
0.212 0.506 0.389 O
0.173 0.173 0.971 O
0.132 0.132 0.417 O
0.500 0.500 0.500 Mg
0.851 0.149 0.000 Na
0.406 0.106 0.731 Na
0.106 0.406 0.731 Na
0.149 0.851 0.000 Na
0.169 0.831 0.500 Na
0.594 0.894 0.269 Na
0.894 0.594 0.269 Na
0.831 0.169 0.500 Na
0.253 0.253 0.269 Ti
0.747 0.747 0.731 Ti


Hg4SI2Cl4 | the Materials Project database | GGA-PBE | relaxed; energy of formation from the pure elements = -557 meV/atom
1.0
-0.871 2.952 -5.927
1.725 7.276 3.370
17.486 -13.706 -9.397
Hg Cl S I
8 8 2 4
direct
0.521 0.086 0.819 Hg
0.749 0.202 0.064 Hg
0.021 0.914 0.681 Hg
0.479 0.914 0.181 Hg
0.251 0.798 0.936 Hg
0.751 0.202 0.564 Hg
0.249 0.798 0.436 Hg
0.979 0.086 0.319 Hg
0.506 0.858 0.077 Cl
0.452 0.001 0.289 Cl
0.548 0.999 0.711 Cl
0.952 0.999 0.211 Cl
0.494 0.142 0.923 Cl
0.006 0.142 0.423 Cl
0.994 0.858 0.577 Cl
0.048 0.001 0.789 Cl
0.000 0.000 0.000 S
0.500 0.000 0.500 S
0.528 0.561 0.862 I
0.028 0.439 0.638 I
0.972 0.561 0.362 I
0.472 0.439 0.138 I


PuUN2 | the Materials Project database | GGA-PBE | relaxed; energy of formation from the pure elements = -1500 meV/atom
1.0
5.702 -1.728 0.000
5.702 1.728 0.000
5.178 0.000 2.948
Pu U N
1 1 2
direct
0.000 0.000 0.000 Pu
0.500 0.500 0.500 U
0.755 0.755 0.755 N
0.245 0.245 0.245 N


Al2O3 | the Materials Project database | GGA-PBE | relaxed; energy of formation from the pure elements = -3198 meV/atom
1.0
-1.472 -4.620 8.820
8.738 -5.024 -0.439
5.468 8.047 4.902
Al O
40 60
direct
0.491 0.579 0.424 Al
0.366 0.518 0.145 Al
0.728 0.059 0.264 Al
0.671 0.162 0.758 Al
0.937 0.929 0.639 Al
0.000 0.648 0.135 Al
0.849 0.541 0.897 Al
0.182 0.985 0.479 Al
0.492 0.632 0.663 Al
0.119 0.256 0.029 Al
0.330 0.303 0.481 Al
0.375 0.165 0.905 Al
0.714 0.792 0.275 Al
0.147 0.216 0.286 Al
0.763 0.449 0.616 Al
0.263 0.798 0.272 Al
0.088 0.728 0.831 Al
0.609 0.270 0.463 Al
0.568 0.551 0.923 Al
0.130 0.016 0.851 Al
0.466 0.342 0.717 Al
0.804 0.556 0.308 Al
0.559 0.957 0.060 Al
0.899 0.303 0.274 Al
0.895 0.172 0.498 Al
0.650 0.347 0.118 Al
0.159 0.315 0.747 Al
0.982 0.924 0.272 Al
0.281 0.031 0.129 Al
0.455 0.029 0.391 Al
0.350 0.767 0.991 Al
0.347 0.890 0.744 Al
0.166 0.524 0.308 Al
0.659 0.951 0.604 Al
0.189 0.708 0.562 Al
0.872 0.680 0.604 Al
0.803 0.065 0.020 Al
0.910 0.268 0.811 Al
0.631 0.839 0.853 Al
0.021 0.446 0.502 Al
0.889 0.000 0.148 O
0.769 0.322 0.500 O
0.609 0.994 0.754 O
0.237 0.816 0.870 O
0.820 0.686 0.186 O
0.983 0.651 0.959 O
0.242 0.888 0.619 O
0.419 0.603 0.006 O
0.487 0.391 0.147 O
0.302 0.332 0.646 O
0.778 0.821 0.650 O
0.061 0.170 0.780 O
0.638 0.647 0.341 O
0.540 0.920 0.497 O
0.490 0.500 0.780 O
0.376 0.643 0.541 O
0.615 0.929 0.212 O
0.755 0.323 0.736 O
0.006 0.295 0.415 O
0.426 0.076 0.041 O
0.139 0.070 0.005 O
0.280 0.845 0.112 O
0.983 0.513 0.269 O
0.584 0.142 0.359 O
0.752 0.405 0.245 O
0.495 0.842 0.962 O
0.010 0.900 0.794 O
0.243 0.297 0.901 O
0.816 0.138 0.874 O
0.707 0.936 0.975 O
0.358 0.958 0.278 O
0.004 0.778 0.570 O
0.841 0.153 0.341 O
0.141 0.560 0.467 O
0.972 0.376 0.919 O
0.793 0.071 0.607 O
0.311 0.125 0.460 O
0.028 0.049 0.547 O
0.848 0.559 0.725 O
0.186 0.540 0.141 O
0.693 0.668 0.887 O
0.199 0.819 0.419 O
0.230 0.356 0.349 O
0.249 0.205 0.156 O
0.073 0.774 0.222 O
0.306 0.048 0.806 O
0.823 0.896 0.352 O
0.104 0.043 0.318 O
0.616 0.554 0.572 O
0.555 0.232 0.616 O
0.015 0.271 0.164 O
0.160 0.631 0.719 O
0.357 0.622 0.289 O
0.021 0.372 0.650 O
0.864 0.553 0.487 O
0.703 0.443 0.985 O
0.491 0.779 0.742 O
0.474 0.395 0.435 O
0.518 0.233 0.844 O
0.697 0.172 0.117 O


K4Nb15O24 | the Materials Project database | GGA-PBE | relaxed; energy of formation from the pure elements = -2586 meV/atom
1.0
4.138 8.376 0.000
-4.138 8.376 0.000
0.000 4.192 8.430
Nb O K
15 24 4
direct
0.253 0.253 0.500 Nb
0.630 0.117 0.500 Nb
0.063 0.562 0.249 Nb
0.370 0.883 0.500 Nb
0.747 0.747 0.500 Nb
0.500 0.500 0.500 Nb
0.308 0.826 0.232 Nb
0.117 0.630 0.500 Nb
0.438 0.937 0.751 Nb
0.826 0.308 0.232 Nb
0.174 0.692 0.768 Nb
0.692 0.174 0.768 Nb
0.562 0.063 0.249 Nb
0.883 0.370 0.500 Nb
0.937 0.438 0.751 Nb
0.566 0.060 0.752 O
0.065 0.065 0.240 O
0.621 0.130 0.999 O
0.935 0.935 0.760 O
0.692 0.186 0.247 O
0.314 0.314 0.248 O
0.940 0.434 0.248 O
0.188 0.188 0.753 O
0.812 0.812 0.247 O
0.308 0.814 0.753 O
0.686 0.686 0.752 O
0.624 0.624 0.500 O
0.376 0.376 0.500 O
0.870 0.379 0.001 O
0.563 0.563 0.247 O
0.060 0.566 0.752 O
0.434 0.940 0.248 O
0.130 0.621 0.999 O
0.437 0.437 0.753 O
0.874 0.874 0.500 O
0.814 0.308 0.753 O
0.186 0.692 0.247 O
0.379 0.870 0.001 O
0.126 0.126 0.500 O
0.748 0.748 0.003 K
0.500 0.500 0.000 K
0.000 0.000 0.000 K
0.252 0.252 0.997 K


CaB2H2 | the Materials Project database | GGA-PBE | relaxed; energy of formation from the pure elements = 246 meV/atom; energy relative to the lowest polymorph listed for this composition = 563 meV/atom
1.0
17.547 0.000 0.000
0.000 3.270 0.000
0.000 0.000 3.744
B H Ca
8 8 4
direct
0.998 0.750 0.392 B
0.248 0.250 0.719 B
0.752 0.750 0.281 B
0.252 0.750 0.219 B
0.748 0.250 0.781 B
0.002 0.250 0.608 B
0.498 0.750 0.108 B
0.502 0.250 0.892 B
0.935 0.750 0.242 H
0.542 0.750 0.369 H
0.958 0.250 0.869 H
0.065 0.250 0.758 H
0.458 0.250 0.631 H
0.042 0.750 0.131 H
0.565 0.250 0.742 H
0.435 0.750 0.258 H
0.375 0.750 0.746 Ca
0.125 0.250 0.246 Ca
0.875 0.750 0.754 Ca
0.625 0.250 0.254 Ca


Mg9Si5 | the Materials Project database | GGA-PBE | relaxed; energy of formation from the pure elements = 46 meV/atom; energy relative to the lowest polymorph listed for this composition = 129 meV/atom
1.0
-3.051 4.680 -4.182
-4.464 -4.711 3.806
2.684 6.301 10.617
Si Mg
10 18
direct
0.034 0.361 0.747 Si
0.605 0.327 0.946 Si
0.369 0.712 0.098 Si
0.792 0.399 0.272 Si
0.734 0.412 0.625 Si
0.932 0.970 0.957 Si
0.554 0.745 0.433 Si
0.974 0.994 0.461 Si
0.937 0.989 0.761 Si
0.114 0.062 0.281 Si
0.825 0.595 0.826 Mg
0.326 0.237 0.699 Mg
0.106 0.781 0.647 Mg
0.707 0.718 0.259 Mg
0.283 0.938 0.930 Mg
0.498 0.657 0.640 Mg
0.383 0.280 0.107 Mg
0.002 0.365 0.493 Mg
0.486 0.995 0.282 Mg
0.529 0.369 0.411 Mg
0.153 0.762 0.410 Mg
0.195 0.467 0.253 Mg
0.467 0.628 0.907 Mg
0.964 0.698 0.101 Mg
0.758 0.084 0.109 Mg
0.028 0.371 0.965 Mg
0.634 0.043 0.575 Mg
0.610 0.044 0.805 Mg


Er2TlCu3S5 | the Materials Project database | GGA-PBE | relaxed; energy of formation from the pure elements = -1325 meV/atom
1.0
1.955 -6.909 0.000
1.955 6.909 0.000
0.000 0.000 16.311
Cu Er S Tl
6 4 10 2
direct
0.647 0.353 0.750 Cu
0.353 0.647 0.250 Cu
0.417 0.583 0.541 Cu
0.583 0.417 0.041 Cu
0.583 0.417 0.459 Cu
0.417 0.583 0.959 Cu
0.192 0.808 0.906 Er
0.192 0.808 0.594 Er
0.808 0.192 0.406 Er
0.808 0.192 0.094 Er
0.832 0.168 0.930 S
0.241 0.759 0.750 S
0.561 0.439 0.885 S
0.561 0.439 0.615 S
0.439 0.561 0.115 S
0.832 0.168 0.570 S
0.759 0.241 0.250 S
0.439 0.561 0.385 S
0.168 0.832 0.430 S
0.168 0.832 0.070 S
0.071 0.929 0.250 Tl
0.929 0.071 0.750 Tl


AcSe3 | the Materials Project database | GGA-PBE | relaxed; energy of formation from the pure elements = -1394 meV/atom
1.0
-2.015 5.135 -2.951
-3.420 -5.236 -0.145
-2.924 1.769 5.075
Se Ac
6 2
direct
0.826 0.652 0.750 Se
0.652 0.826 0.250 Se
0.174 0.348 0.250 Se
0.348 0.174 0.750 Se
0.826 0.174 0.750 Se
0.174 0.826 0.250 Se
0.667 0.333 0.250 Ac
0.333 0.667 0.750 Ac


Repeat the second record exactly.
Na8MgTi2O8 | the Materials Project database | GGA-PBE | relaxed; energy of formation from the pure elements = -2181 meV/atom; energy relative to the lowest polymorph listed for this composition = 1 meV/atom
1.0
4.697 5.590 -0.582
-4.697 5.590 -0.582
0.000 -0.795 6.115
O Mg Na Ti
8 1 8 2
direct
0.827 0.827 0.029 O
0.868 0.868 0.583 O
0.494 0.788 0.611 O
0.506 0.212 0.389 O
0.788 0.494 0.611 O
0.212 0.506 0.389 O
0.173 0.173 0.971 O
0.132 0.132 0.417 O
0.500 0.500 0.500 Mg
0.851 0.149 0.000 Na
0.406 0.106 0.731 Na
0.106 0.406 0.731 Na
0.149 0.851 0.000 Na
0.169 0.831 0.500 Na
0.594 0.894 0.269 Na
0.894 0.594 0.269 Na
0.831 0.169 0.500 Na
0.253 0.253 0.269 Ti
0.747 0.747 0.731 Ti


Please write out number 3 again, unchanged.
Hg4SI2Cl4 | the Materials Project database | GGA-PBE | relaxed; energy of formation from the pure elements = -557 meV/atom
1.0
-0.871 2.952 -5.927
1.725 7.276 3.370
17.486 -13.706 -9.397
Hg Cl S I
8 8 2 4
direct
0.521 0.086 0.819 Hg
0.749 0.202 0.064 Hg
0.021 0.914 0.681 Hg
0.479 0.914 0.181 Hg
0.251 0.798 0.936 Hg
0.751 0.202 0.564 Hg
0.249 0.798 0.436 Hg
0.979 0.086 0.319 Hg
0.506 0.858 0.077 Cl
0.452 0.001 0.289 Cl
0.548 0.999 0.711 Cl
0.952 0.999 0.211 Cl
0.494 0.142 0.923 Cl
0.006 0.142 0.423 Cl
0.994 0.858 0.577 Cl
0.048 0.001 0.789 Cl
0.000 0.000 0.000 S
0.500 0.000 0.500 S
0.528 0.561 0.862 I
0.028 0.439 0.638 I
0.972 0.561 0.362 I
0.472 0.439 0.138 I


What is the formula in the fourth record?
PuUN2


The lowest energy of formation from the pure elements belongs to which entry?
Al2O3